w | ZnMo2O4: optimized geometry, GGA+U.

Mass density ... 5.9 Mg/m³

Unit cell a=6.2068 b=6.4966 c=15.2781 alpha=91.17 beta=91.86 gamma=118.07
Space group P1 (No. 1)
One atom of each set of equivalent atoms:
1 Zn 0.0000 0.0000 0.0000
2 Zn 0.0003 0.0103 0.3752
3 Zn 0.1632 0.8282 0.5345
4 Zn 0.3234 0.6697 0.7039
5 Zn 0.4912 0.5001 0.8750
6 Zn 0.8411 0.1741 0.2102
7 Mo 0.1582 0.3345 0.5421
8 Mo 0.3344 0.6885 0.0867
9 Mo 0.3364 0.1696 0.2097
10 Mo 0.3469 0.6571 0.3261
11 Mo 0.4936 0.0098 0.8712
12 Mo 0.6560 0.3164 0.6451
13 Mo 0.6567 0.8341 0.5404
14 Mo 0.6627 0.3553 0.4333
15 Mo 0.6648 0.3428 0.0389
16 Mo 0.8397 0.6742 0.2100
17 Mo 0.9873 0.0143 0.7543
18 Mo 0.9901 0.5079 0.8718
19 O 0.0255 0.5433 0.6147
20 O 0.1506 0.8260 0.7934
21 O 0.1548 0.2974 0.2974
22 O 0.1652 0.3573 0.7890
23 O 0.1838 0.8597 0.2836
24 O 0.2963 0.1318 0.4693
25 O 0.3173 0.6321 0.4624
26 O 0.3407 0.6953 0.9465
27 O 0.3421 0.1841 0.9509
28 O 0.4698 0.9567 0.6272
29 O 0.4929 0.4781 0.1303
30 O 0.4970 0.5360 0.6205
31 O 0.5156 0.0445 0.1166
32 O 0.6469 0.3240 0.7965
33 O 0.6511 0.8359 0.7931
34 O 0.6807 0.3605 0.2858
35 O 0.6862 0.8660 0.2773
36 O 0.8163 0.6489 0.9561
37 O 0.8202 0.1364 0.4633
38 O 0.8315 0.1953 0.9506
39 O 0.8456 0.7179 0.4512
40 O 0.9812 0.4768 0.1322
41 O 0.9874 0.0286 0.6248
42 O 0.9949 0.9868 0.1315

---

x | ZnMo2O4: optimized geometry, GGA+U.

Mass density ... 5.9 Mg/m³

Unit cell a=11.1041 b=6.3241 c=15.4386 alpha=90.00 beta=91.24 gamma=90.00
Space group Cm (No. 8)
One atom of each set of equivalent atoms:
1 Zn 0.0000 0.0000 0.0000
2 Zn 0.9996 0.0000 0.3719
3 Zn 0.1631 0.5000 0.6683
4 Zn 0.3340 0.0000 0.0853
5 Zn 0.3349 0.0000 0.3304
6 Zn 0.4983 0.5000 0.7513
7 Mo 0.0851 0.2472 0.2103
8 Mo 0.1623 0.0000 0.5415
9 Mo 0.1667 0.5000 0.0431
10 Mo 0.1667 0.5000 0.4182
11 Mo 0.2487 0.2478 0.8763
12 Mo 0.3298 0.0000 0.7091
13 Mo 0.3389 0.5000 0.2090
14 Mo 0.4132 0.2502 0.5420
15 Mo 0.4984 0.0000 0.8760
16 O 0.0014 0.0000 0.1333
17 O 0.0119 0.5000 0.1275
18 O 0.0709 0.2438 0.4667
19 O 0.0888 0.2608 0.9560
20 O 0.1573 0.0000 0.2938
21 O 0.1623 0.5000 0.7999
22 O 0.1746 0.0000 0.7936
23 O 0.1783 0.5000 0.2832
24 O 0.2450 0.2626 0.1291
25 O 0.2517 0.2389 0.6217
26 O 0.3227 0.5000 0.9584
27 O 0.3273 0.0000 0.4661
28 O 0.3347 0.0000 0.9519
29 O 0.3507 0.5000 0.4550
30 O 0.4081 0.2399 0.7954
31 O 0.4255 0.2603 0.2889
32 O 0.4852 0.0000 0.6252
33 O 0.4994 0.5000 0.6183

---

Stability summary - winner: x; margin: 0.151 eV/atom.

---

w | ZnMo2O4: optimized geometry, GGA+U.

Mass density ... 6.3 Mg/m³

Unit cell a=3.1311 b=10.3380 c=10.4130 alpha=90.00 beta=90.00 gamma=90.00
Space group Cmcm (No. 63)
One atom of each set of equivalent atoms:
1 Zn 0.0000 0.1052 0.2500
2 Mo 0.0000 0.3676 0.0727
3 O 0.0000 0.0000 0.0000
4 O 0.0000 0.2698 0.6132
5 O 0.0000 0.4778 0.2500

---

x | ZnMo2O4: optimized geometry, GGA+U.

Mass density ... 5.9 Mg/m³

Unit cell a=6.3130 b=6.4507 c=15.3065 alpha=91.91 beta=90.49 gamma=119.29
Space group P1 (No. 1)
One atom of each set of equivalent atoms:
1 Zn 0.0000 0.0000 0.0000
2 Zn 0.0018 0.0058 0.3726
3 Zn 0.3366 0.6687 0.7097
4 Zn 0.6589 0.3240 0.0442
5 Zn 0.6618 0.3307 0.2861
6 Zn 0.6720 0.3412 0.6680
7 Mo 0.0063 0.5102 0.4982
8 Mo 0.0084 0.0052 0.6197
9 Mo 0.1538 0.3180 0.1636
10 Mo 0.1549 0.8254 0.1619
11 Mo 0.3324 0.6701 0.3303
12 Mo 0.3388 0.1676 0.8305
13 Mo 0.3415 0.6625 0.9517
14 Mo 0.5077 0.5109 0.4977
15 Mo 0.5089 0.0135 0.4988
16 Mo 0.6599 0.8253 0.1621
17 Mo 0.8357 0.1695 0.8293
18 Mo 0.8357 0.6631 0.8320
19 O 0.0130 0.5108 0.2434
20 O 0.1515 0.2976 0.9183
21 O 0.1748 0.8287 0.4196
22 O 0.1779 0.8577 0.9074
23 O 0.1815 0.3640 0.4143
24 O 0.3075 0.1414 0.0855
25 O 0.3100 0.6354 0.0888
26 O 0.3474 0.6883 0.5742
27 O 0.3599 0.2028 0.5732
28 O 0.4829 0.9732 0.2467
29 O 0.4896 0.5115 0.2439
30 O 0.5026 0.4847 0.7530
31 O 0.5133 0.0263 0.7453
32 O 0.6533 0.8288 0.4192
33 O 0.6664 0.3325 0.4219
34 O 0.6743 0.3409 0.9069
35 O 0.6916 0.8614 0.9054
36 O 0.8232 0.1376 0.0843
37 O 0.8229 0.6400 0.5864
38 O 0.8317 0.6790 0.0785
39 O 0.8494 0.2014 0.5739
40 O 0.9868 0.4869 0.7525
41 O 0.9903 0.9779 0.7562
42 O 0.9959 0.9989 0.2394

---

Stability summary - winner: x; margin: 0.074 eV/atom.

---

w | ZnMo8O10: optimized geometry, GGA+U.

Mass density ... 6.1 Mg/m³

Unit cell a=6.4457 b=6.4457 c=25.8455 alpha=90.00 beta=90.00 gamma=90.00
Space group I4_1/amd (No. 141, origin choice 2)
One atom of each set of equivalent atoms:
1 Zn 0.0000 0.2500 0.3750
2 Mo 0.0000 0.0066 0.0826
3 Mo 0.0000 0.0164 0.2486
4 O 0.0000 0.0000 0.5000
5 O 0.0000 0.0156 0.6688
6 O 0.0000 0.0326 0.8345

---

x | ZnMo8O10: optimized geometry, GGA+U.

Mass density ... 6.3 Mg/m³

Unit cell a=6.4091 b=6.4091 c=25.6055 alpha=90.00 beta=90.00 gamma=90.00
Space group I4_1md (No. 109)
One atom of each set of equivalent atoms:
1 Zn 0.0000 0.0000 0.0000
2 Mo 0.0000 0.2292 0.7002
3 Mo 0.0000 0.2336 0.8702
4 Mo 0.0000 0.2536 0.5367
5 Mo 0.0000 0.2645 0.3728
6 O 0.0000 0.2045 0.4546
7 O 0.0000 0.2313 0.2896
8 O 0.0000 0.2500 0.1202
9 O 0.0000 0.2575 0.9545
10 O 0.0000 0.2799 0.7863

---

Stability summary - winner: w; margin: 0.099 eV/atom.

---

w | V5N4O: optimized geometry, GGA+U.

Mass density ... 6.0 Mg/m³

Unit cell a=4.1000 b=5.1055 c=5.1059 alpha=81.01 beta=66.58 gamma=66.57
Space group P1 (No. 1)
One atom of each set of equivalent atoms:
1 V 0.0000 0.0000 0.0000
2 V 0.1646 0.4331 0.2395
3 V 0.4006 0.7700 0.4383
4 V 0.6215 0.2338 0.5731
5 V 0.8305 0.5709 0.7740
6 N 0.1310 0.1809 0.5982
7 N 0.2973 0.5900 0.8269
8 N 0.7055 0.4072 0.1858
9 N 0.8878 0.8223 0.4123
10 O 0.4987 0.9976 0.0095

---

x | V5N4O: optimized geometry, GGA+U.

Mass density ... 5.4 Mg/m³

Unit cell a=6.8553 b=6.8553 c=4.2857 alpha=90.00 beta=90.00 gamma=90.00
Space group I4/m (No. 87)
One atom of each set of equivalent atoms:
1 V 0.0000 0.0000 0.0000
2 V 0.1095 0.6932 0.5000
3 N 0.1025 0.7014 0.0000
4 O 0.0000 0.0000 0.5000

---

Stability summary - winner: x; margin: 0.183 eV/atom.